Entry 1:
The following is a DFT calculation (PBE) of crystalline SbS4N4Cl5 at its relaxed geometry.

a = 7.363 Å, b = 13.082 Å, c = 15.972 Å
α = 90.00°, β = 107.34°, γ = 90.00°
Space group P2_1/c (No. 14)
One atom of each set of equivalent atoms:
Sb 0.170 0.214 0.098 (multiplicity 4)
S 0.153 0.512 0.704 (multiplicity 4)
S 0.292 0.587 0.187 (multiplicity 4)
S 0.370 0.069 0.379 (multiplicity 4)
S 0.469 0.007 0.142 (multiplicity 4)
N 0.219 0.008 0.307 (multiplicity 4)
N 0.273 0.061 0.153 (multiplicity 4)
N 0.349 0.532 0.278 (multiplicity 4)
N 0.450 0.617 0.142 (multiplicity 4)
Cl 0.057 0.123 0.536 (multiplicity 4)
Cl 0.096 0.248 0.732 (multiplicity 4)
Cl 0.139 0.637 0.460 (multiplicity 4)
Cl 0.256 0.164 0.970 (multiplicity 4)
Cl 0.489 0.220 0.661 (multiplicity 4)

Properties
Corrected total energy (MP2020 scheme), eV/cell: -266.342
Formation energy from the elements, eV per formula unit: -3.3
DFT total energy, eV per atom: -4.537
Magnetic moment, μB per atom: 0.000
V, Å³ per cell: 1468.5



Entry 2:
The following is a DFT calculation (PBE) of crystalline Tm2Re3Si5 at its relaxed geometry.

a = 10.966 Å, b = 10.966 Å, c = 5.495 Å
α = 90.00°, β = 90.00°, γ = 90.00°
Space group P4/mnc (No. 128)
One atom of each set of equivalent atoms:
Tm 0.077 0.238 0.000 (multiplicity 8)
Re 0.000 0.500 0.250 (multiplicity 4)
Re 0.124 0.854 0.500 (multiplicity 8)
Si 0.000 0.000 0.240 (multiplicity 4)
Si 0.028 0.314 0.500 (multiplicity 8)
Si 0.173 0.673 0.250 (multiplicity 8)

Properties
Corrected total energy (MP2020 scheme), eV/cell: -315.537
Formation energy from the elements, eV per formula unit: -5.5
DFT total energy, eV per atom: -7.924
V, Å³ per cell: 660.7